No. 1
A relaxed structure of SrTiO3, computed with r2SCAN.

SG   Pm-3m, No. 221
E_tot   -63.234 eV for the cell shown
Spin magnetization   0.000 μB/cell

CIF file:
```
data_SrTiO3
_space_group_name_H-M_alt 'P 1'
_space_group_IT_number 1
_space_group_name_Hall 'P 1'
_cell_length_a 3.913
_cell_length_b 3.913
_cell_length_c 3.913
_cell_angle_alpha 90.00
_cell_angle_beta 90.00
_cell_angle_gamma 90.00
loop_
_atom_site_label
_atom_site_fract_x
_atom_site_fract_y
_atom_site_fract_z
Sr1 0.000 0.000 0.000
Ti1 0.500 0.500 0.500
O1 0.500 0.000 0.500
O2 0.500 0.500 0.000
O3 0.000 0.500 0.500
```

No. 2
A relaxed structure of BaCd2Sb2, computed with r2SCAN.

SG   P-3m1, No. 164
E_tot   -121.430 eV for the cell shown
Spin magnetization   0.000 μB/cell

CIF file:
```
data_BaCd2Sb2
_space_group_name_H-M_alt 'P 1'
_space_group_IT_number 1
_space_group_name_Hall 'P 1'
_cell_length_a 4.831
_cell_length_b 4.831
_cell_length_c 8.159
_cell_angle_alpha 90.00
_cell_angle_beta 90.00
_cell_angle_gamma 120.00
loop_
_atom_site_label
_atom_site_fract_x
_atom_site_fract_y
_atom_site_fract_z
Ba1 0.000 0.000 0.000
Cd1 0.667 0.333 0.633
Cd2 0.333 0.667 0.367
Sb1 0.667 0.333 0.265
Sb2 0.333 0.667 0.735
```

No. 3
A relaxed structure of CeInCu5, computed with r2SCAN.

SG   Pnma, No. 62
E_tot   -436.755 eV for the cell shown
Spin magnetization   3.954 μB/cell

CIF file:
```
data_CeInCu5
_space_group_name_H-M_alt 'P 1'
_space_group_IT_number 1
_space_group_name_Hall 'P 1'
_cell_length_a 5.048
_cell_length_b 8.292
_cell_length_c 10.535
_cell_angle_alpha 90.00
_cell_angle_beta 90.00
_cell_angle_gamma 90.00
loop_
_atom_site_label
_atom_site_fract_x
_atom_site_fract_y
_atom_site_fract_z
Ce1 0.750 0.745 0.441
Ce2 0.250 0.255 0.559
Ce3 0.250 0.755 0.941
Ce4 0.750 0.245 0.059
In1 0.750 0.860 0.138
In2 0.250 0.140 0.862
In3 0.250 0.640 0.638
In4 0.750 0.360 0.362
Cu1 0.500 0.932 0.687
Cu2 0.500 0.068 0.313
Cu3 0.500 0.568 0.187
Cu4 0.000 0.068 0.313
Cu5 0.500 0.432 0.813
Cu6 0.000 0.932 0.687
Cu7 0.000 0.432 0.813
Cu8 0.000 0.568 0.187
Cu9 0.750 0.583 0.985
Cu10 0.250 0.417 0.015
Cu11 0.250 0.917 0.485
Cu12 0.750 0.083 0.515
Cu13 0.750 0.940 0.891
Cu14 0.250 0.060 0.109
Cu15 0.250 0.560 0.391
Cu16 0.750 0.440 0.609
Cu17 0.750 0.681 0.757
Cu18 0.250 0.319 0.243
Cu19 0.250 0.819 0.257
Cu20 0.750 0.181 0.743
```